No. 1
Crystalline TiSi2 at its relaxed geometry. Source: the Materials Project database, functional PBE.

Properties
SG	Fddd
volume	50	Å³/f.u.
ΔE_f	0.223	eV per atom

a b c (Å): 5.3091 5.2624 5.0518
angles (deg): 61.92 60.99 57.09
Element x y z (fractional)
1 Ti 0.1250 0.1250 0.1250
2 Si 0.5414 0.5414 0.2086
3 Si 0.2086 0.2086 0.5414
4 Si 0.7914 0.7914 0.4586
5 Si 0.4586 0.4586 0.7914
6 Ti 0.8750 0.8750 0.8750

***

No. 2
Crystalline Bi4Te3 at its relaxed geometry. Source: the Materials Project database, functional PBE.

Properties
SG	R-3m
volume	251	Å³/f.u.
ΔE_f	-0.353	eV per atom

a b c (Å): 14.4742 14.4742 14.4742
angles (deg): 17.93 17.93 17.93
Element x y z (fractional)
1 Te 0.5795 0.5795 0.5795
2 Bi 0.8528 0.8528 0.8528
3 Bi 0.2861 0.2861 0.2861
4 Bi 0.7139 0.7139 0.7139
5 Te 0.0000 0.0000 0.0000
6 Te 0.4205 0.4205 0.4205
7 Bi 0.1472 0.1472 0.1472

***

No. 3
Crystalline KPrHf2O6 at its relaxed geometry. Source: the Materials Project database, functional PBE.

Properties
SG	Fm-3m
volume	140	Å³/f.u.
ΔE_f	-3.557	eV per atom

a b c (Å): 5.8350 5.8350 5.8350
angles (deg): 60.00 60.00 60.00
Element x y z (fractional)
1 O 0.0000 0.5000 0.0000
2 Pr 0.0000 0.0000 0.0000
3 O 0.5000 0.0000 0.5000
4 Hf 0.2500 0.2500 0.2500
5 O 0.5000 0.5000 0.0000
6 Hf 0.7500 0.7500 0.7500
7 O 0.5000 0.0000 0.0000
8 K 0.5000 0.5000 0.5000
9 O 0.0000 0.5000 0.5000
10 O 0.0000 0.0000 0.5000

***

No. 4
Crystalline Ta10Al6B at its relaxed geometry. Source: the Materials Project database, functional PBE.

Properties
SG	P-31m
volume	282	Å³/f.u.
ΔE_f	-0.294	eV per atom

a b c (Å): 7.8419 7.8419 5.2921
angles (deg): 90.00 90.00 120.00
Element x y z (fractional)
1 Al 0.4012 0.4012 0.7478
2 Ta 0.7613 0.0000 0.2422
3 Ta 0.3333 0.6667 0.5000
4 Al 0.4012 0.0000 0.2522
5 Ta 0.2387 0.0000 0.7578
6 Ta 0.3333 0.6667 0.0000
7 Ta 0.6667 0.3333 0.0000
8 Ta 0.7613 0.7613 0.7578
9 Ta 0.2387 0.2387 0.2422
10 Al 0.5988 0.0000 0.7478
11 Ta 0.0000 0.7613 0.2422
12 Ta 0.0000 0.2387 0.7578
13 Al 0.0000 0.5988 0.7478
14 Al 0.0000 0.4012 0.2522
15 B 0.0000 0.0000 0.5000
16 Ta 0.6667 0.3333 0.5000
17 Al 0.5988 0.5988 0.2522

***

No. 5
Crystalline DyScO3 at its relaxed geometry. Source: the Materials Project database, functional PBE.

Properties
SG	Pnma
volume	63	Å³/f.u.
ΔE_f	-3.963	eV per atom

a b c (Å): 5.4537 5.7478 7.9882
angles (deg): 90.00 90.00 90.00
Element x y z (fractional)
1 O 0.8693 0.5574 0.2500
2 Dy 0.4799 0.4378 0.2500
3 Sc 0.0000 0.5000 0.0000
4 O 0.1911 0.1936 0.4316
5 O 0.1911 0.1936 0.0684
6 O 0.3693 0.9426 0.7500
7 Dy 0.0201 0.9378 0.2500
8 O 0.3089 0.6936 0.0684
9 O 0.8089 0.8064 0.5684
10 O 0.8089 0.8064 0.9316
11 O 0.3089 0.6936 0.4316
12 Dy 0.5201 0.5622 0.7500
13 Sc 0.0000 0.5000 0.5000
14 O 0.6911 0.3064 0.5684
15 Dy 0.9799 0.0622 0.7500
16 O 0.6911 0.3064 0.9316
17 Sc 0.5000 0.0000 0.0000
18 O 0.6307 0.0574 0.2500
19 O 0.1307 0.4426 0.7500
20 Sc 0.5000 0.0000 0.5000

***

No. 6
Crystalline HoCd2 at its relaxed geometry. Source: the Materials Project database, functional PBE.

Properties
SG	P6/mmm
volume	74	Å³/f.u.
ΔE_f	-0.302	eV per atom

a b c (Å): 3.4393 4.9688 4.9688
angles (deg): 120.00 90.00 90.00
Element x y z (fractional)
1 Cd 0.5000 0.3333 0.6667
2 Ho 0.0000 0.0000 0.0000
3 Cd 0.5000 0.6667 0.3333

***

No. 7
Crystalline Zn4FeCu10Ge5S20 at its relaxed geometry. Source: the Materials Project database, functional PBE.

Properties
SG	C2
volume	757	Å³/f.u.
ΔE_f	-0.676	eV per atom

a b c (Å): 6.5262 6.5262 23.8645
angles (deg): 89.95 89.95 48.17
Element x y z (fractional)
1 Zn 0.8000 0.8000 0.2001
2 S 0.7077 0.1936 0.6770
3 Ge 0.8002 0.7998 0.7000
4 S 0.3889 0.9034 0.2257
5 Cu 0.7000 0.7000 0.5501
6 Zn 0.2000 0.2000 0.7999
7 Cu 0.3000 0.3000 0.4499
8 S 0.8998 0.4012 0.9749
9 S 0.4964 0.0109 0.3742
10 Zn 0.6000 0.6000 0.4000
11 Cu 0.5001 0.4998 0.7501
12 S 0.1079 0.5933 0.2770
13 S 0.5065 0.9953 0.8769
14 S 0.2963 0.8111 0.5742
15 S 0.2009 0.6992 0.9247
16 S 0.7900 0.3031 0.8256
17 Ge 0.4009 0.3995 0.0998
18 Cu 0.6985 0.7007 0.0497
19 S 0.0047 0.4935 0.1231
20 S 0.9078 0.3934 0.4770
21 Cu 0.1000 0.1000 0.6500
22 Cu 0.5002 0.4999 0.2499
23 S 0.3008 0.7991 0.0753
24 Cu 0.2993 0.3015 0.9503
25 S 0.1889 0.7037 0.4258
26 Fe 0.0009 0.9991 0.0000
27 Ge 0.6005 0.5991 0.9002
28 S 0.4067 0.8921 0.7230
29 Cu 0.1003 0.0992 0.1498
30 Ge 0.2002 0.1998 0.3000
31 S 0.5988 0.1002 0.0251
32 Cu 0.9008 0.8997 0.8502
33 Ge 0.0004 0.9996 0.5000
34 S 0.6969 0.2100 0.1744
35 S 0.6066 0.0922 0.5230
36 S 0.8064 0.2923 0.3230
37 S 0.0966 0.6111 0.7743
38 Cu 0.9000 0.9000 0.3500
39 Zn 0.4000 0.4000 0.6000
40 S 0.9891 0.5036 0.6258

***

No. 8
Crystalline SrAgBi at its relaxed geometry. Source: the Materials Project database, functional PBE.

Properties
SG	P6_3/mmc
volume	93	Å³/f.u.
ΔE_f	-0.603	eV per atom

a b c (Å): 4.9526 4.9526 8.7897
angles (deg): 90.00 90.00 120.00
Element x y z (fractional)
1 Ag 0.3333 0.6667 0.7500
2 Sr 0.0000 0.0000 0.5000
3 Bi 0.3333 0.6667 0.2500
4 Ag 0.6667 0.3333 0.2500
5 Bi 0.6667 0.3333 0.7500
6 Sr 0.0000 0.0000 0.0000

***

No. 9
Crystalline NdFeSi2 at its relaxed geometry. Source: the Materials Project database, functional PBE.

Properties
SG	Cmcm
volume	70	Å³/f.u.
ΔE_f	-0.618	eV per atom

a b c (Å): 8.7251 8.7251 4.0287
angles (deg): 90.00 90.00 152.80
Element x y z (fractional)
1 Si 0.4621 0.5379 0.2500
2 Fe 0.2503 0.7497 0.7500
3 Nd 0.8923 0.1077 0.7500
4 Si 0.5379 0.4621 0.7500
5 Nd 0.1077 0.8923 0.2500
6 Fe 0.7497 0.2503 0.2500
7 Si 0.3108 0.6892 0.2500
8 Si 0.6892 0.3108 0.7500

***

No. 10
Crystalline BaLiMg6 at its relaxed geometry. Source: the Materials Project database, functional PBE.

Properties
offset from the most stable computed form	0	meV per atom
volume	223	Å³/f.u.
ΔE_f	0.074	eV per atom

a b c (Å): 5.1743 6.5682 13.1171
angles (deg): 90.00 90.00 90.00
Element x y z (fractional)
1 Mg 0.0000 0.7495 0.0606
2 Ba 0.5000 0.5000 0.2006
3 Mg 0.5000 0.0000 0.1349
4 Ba 0.5000 0.0000 0.7006
5 Li 0.0000 0.0000 0.8688
6 Mg 0.0000 0.5000 0.8061
7 Mg 0.0000 0.7505 0.5606
8 Mg 0.5000 0.7384 0.9342
9 Li 0.0000 0.5000 0.3688
10 Mg 0.5000 0.5000 0.6349
11 Mg 0.0000 0.2495 0.5606
12 Mg 0.0000 0.2505 0.0606
13 Mg 0.5000 0.7616 0.4342
14 Mg 0.5000 0.2384 0.4342
15 Mg 0.0000 0.0000 0.3061
16 Mg 0.5000 0.2616 0.9342

***

No. 11
Crystalline HfGa2 at its relaxed geometry. Source: the Materials Project database, functional PBE.

Properties
SG	I4_1/amd
volume	53	Å³/f.u.
ΔE_f	-0.460	eV per atom

a b c (Å): 4.0674 4.0674 13.1286
angles (deg): 98.91 98.91 90.00
Element x y z (fractional)
1 Ga 0.7493 0.7493 0.4987
2 Ga 0.4116 0.4116 0.8233
3 Ga 0.5007 0.0007 0.0013
4 Hf 0.0756 0.0756 0.1512
5 Hf 0.1744 0.6744 0.3488
6 Ga 0.6616 0.1616 0.3233
7 Ga 0.5884 0.5884 0.1767
8 Ga 0.9993 0.4993 0.9987
9 Hf 0.9244 0.9244 0.8488
10 Ga 0.2507 0.2507 0.5013
11 Ga 0.8384 0.3384 0.6767
12 Hf 0.3256 0.8256 0.6512

***

No. 12
Crystalline SiO2 at its relaxed geometry. Source: the Materials Project database, functional PBE.

Properties
SG	Imma
volume	54	Å³/f.u.
ΔE_f	-3.257	eV per atom

a b c (Å): 12.3809 12.3809 12.3809
angles (deg): 139.97 113.29 80.73
Element x y z (fractional)
1 O 0.4748 0.6966 0.3448
2 O 0.6658 0.3303 0.9067
3 Si 0.8873 0.5598 0.9472
4 O 0.6717 0.0926 0.5792
5 O 0.3342 0.2409 0.6645
6 Si 0.1127 0.4402 0.0528
7 O 0.8849 0.7500 0.1349
8 O 0.6658 0.7591 0.3355
9 O 0.7615 0.9369 0.3370
10 Si 0.6019 0.2736 0.9549
11 O 0.0000 0.0000 0.5000
12 Si 0.1127 0.0598 0.6725
13 O 0.5252 0.8700 0.2218
14 O 0.7615 0.4245 0.8245
15 O 0.9236 0.8303 0.6645
16 O 0.6892 0.1892 0.0000
17 O 0.6892 0.6892 0.5000
18 Si 0.9535 0.5853 0.7415
19 O 0.2385 0.0631 0.6630
20 Si 0.8187 0.1470 0.0451
21 O 0.9000 0.0755 0.3370
22 O 0.4247 0.5576 0.8671
23 Si 0.6019 0.6470 0.3283
24 Si 0.0465 0.4147 0.2585
25 O 0.0764 0.7409 0.9067
26 Si 0.6562 0.9147 0.3682
27 O 0.9000 0.5631 0.8245
28 O 0.2385 0.5755 0.1755
29 O 0.0764 0.1697 0.3355
30 Si 0.3981 0.3530 0.6717
31 Si 0.9535 0.2120 0.3682
32 O 0.3108 0.3108 0.5000
33 Si 0.8187 0.7736 0.6717
34 Si 0.1813 0.8530 0.9549
35 O 0.1905 0.0576 0.1329
36 O 0.3108 0.8108 0.0000
37 O 0.8095 0.9424 0.8671
38 Si 0.8873 0.9402 0.3275
39 Si 0.3438 0.7120 0.2585
40 O 0.0000 0.5000 0.0000
41 O 0.8518 0.6300 0.6552
42 O 0.3283 0.9074 0.4208
43 Si 0.3981 0.7264 0.0451
44 O 0.9866 0.4074 0.5792
45 O 0.8518 0.1966 0.2218
46 O 0.3342 0.6697 0.0933
47 O 0.0134 0.5926 0.4208
48 O 0.1482 0.3700 0.3448
49 O 0.1000 0.4369 0.1755
50 O 0.9236 0.2591 0.0933
51 Si 0.3438 0.0853 0.6318
52 O 0.5252 0.3034 0.6552
53 O 0.1000 0.9245 0.6630
54 Si 0.1813 0.2264 0.3283
55 O 0.4748 0.1300 0.7782
56 Si 0.6562 0.2880 0.7415
57 O 0.1151 0.2500 0.8651
58 Si 0.0465 0.7880 0.6318
59 O 0.1482 0.8034 0.7782
60 O 0.5753 0.4424 0.1329

***

No. 13
Crystalline Ta2Al at its relaxed geometry. Source: the Materials Project database, functional PBE.

Properties
SG	P4_2/mnm
volume	52	Å³/f.u.
ΔE_f	-0.248	eV per atom

a b c (Å): 9.9382 9.9382 5.2251
angles (deg): 90.00 90.00 90.00
Element x y z (fractional)
1 Ta 0.8175 0.8175 0.7481
2 Al 0.9346 0.2625 0.0000
3 Al 0.5654 0.7625 0.5000
4 Al 0.7625 0.5654 0.5000
5 Ta 0.3703 0.9655 0.5000
6 Al 0.4346 0.2375 0.5000
7 Ta 0.1019 0.8981 0.5000
8 Ta 0.1825 0.1825 0.2519
9 Ta 0.5345 0.8703 0.0000
10 Ta 0.8703 0.5345 0.0000
11 Ta 0.0345 0.6297 0.5000
12 Ta 0.1297 0.4655 0.0000
13 Ta 0.9655 0.3703 0.5000
14 Ta 0.6297 0.0345 0.5000
15 Ta 0.6019 0.6019 0.0000
16 Al 0.2625 0.9346 0.0000
17 Ta 0.1825 0.1825 0.7481
18 Ta 0.3981 0.3981 0.0000
19 Ta 0.3175 0.6825 0.7519
20 Al 0.0654 0.7375 0.0000
21 Ta 0.4655 0.1297 0.0000
22 Ta 0.6825 0.3175 0.2481
23 Ta 0.6825 0.3175 0.7519
24 Ta 0.3175 0.6825 0.2481
25 Al 0.7375 0.0654 0.0000
26 Ta 0.8981 0.1019 0.5000
27 Al 0.2375 0.4346 0.5000
28 Ta 0.8175 0.8175 0.2519
29 Al 0.5000 0.5000 0.5000
30 Al 0.0000 0.0000 0.0000

***

No. 14
Crystalline K2LiScCl6 at its relaxed geometry. Source: the Materials Project database, functional PBE.

Properties
SG	Fm-3m
volume	260	Å³/f.u.
ΔE_f	-2.378	eV per atom

a b c (Å): 7.1602 7.1602 7.1602
angles (deg): 60.00 60.00 60.00
Element x y z (fractional)
1 Cl 0.2463 0.7537 0.7537
2 Cl 0.2463 0.7537 0.2463
3 Cl 0.7537 0.2463 0.7537
4 K 0.2500 0.2500 0.2500
5 Cl 0.7537 0.7537 0.2463
6 Sc 0.0000 0.0000 0.0000
7 Li 0.5000 0.5000 0.5000
8 K 0.7500 0.7500 0.7500
9 Cl 0.2463 0.2463 0.7537
10 Cl 0.7537 0.2463 0.2463

***

No. 15
Crystalline Ce3Au at its relaxed geometry. Source: the Materials Project database, functional PBE.

Properties
SG	Cmcm
volume	102	Å³/f.u.
ΔE_f	-0.183	eV per atom

a b c (Å): 6.7081 6.7351 5.2328
angles (deg): 89.98 89.99 120.13
Element x y z (fractional)
1 Ce 0.3591 0.1797 0.7499
2 Ce 0.8206 0.6417 0.7498
3 Ce 0.8209 0.1791 0.7498
4 Ce 0.1788 0.8206 0.2501
5 Au 0.3334 0.6667 0.7502
6 Au 0.6665 0.3332 0.2498
7 Ce 0.1790 0.3583 0.2502
8 Ce 0.6417 0.8206 0.2501

***

No. 16
Crystalline Sr2ZrTiO6 at its relaxed geometry. Source: the Materials Project database, functional PBE.

Properties
SG	Fm-3m
volume	134	Å³/f.u.
ΔE_f	-3.577	eV per atom

a b c (Å): 5.7492 5.7492 5.7492
angles (deg): 60.00 60.00 60.00
Element x y z (fractional)
1 Sr 0.2500 0.2500 0.2500
2 O 0.7579 0.2421 0.7579
3 Ti 0.0000 0.0000 0.0000
4 O 0.7579 0.2421 0.2421
5 O 0.2421 0.2421 0.7579
6 O 0.7579 0.7579 0.2421
7 Zr 0.5000 0.5000 0.5000
8 O 0.2421 0.7579 0.2421
9 Sr 0.7500 0.7500 0.7500
10 O 0.2421 0.7579 0.7579

***

No. 17
Crystalline BaIn3Pt at its relaxed geometry. Source: the Materials Project database, functional PBE.

Properties
SG	I4mm
volume	139	Å³/f.u.
ΔE_f	-0.534	eV per atom

a b c (Å): 6.7486 6.7486 6.7486
angles (deg): 137.46 137.46 61.73
Element x y z (fractional)
1 Ba 0.9974 0.9974 0.0000
2 In 0.2384 0.7384 0.5000
3 In 0.7384 0.2384 0.5000
4 In 0.3976 0.3976 0.0000
5 Pt 0.6282 0.6282 0.0000